A relaxed structure of Li11Fe12B12O36, computed with PBE with a Hubbard U.

For the energy above the most stable polymorph in this dataset, the calculation gives 0.000 eV per atom.

a b c (Å): 9.060 9.066 11.465
angles (deg): 88.94 66.78 60.12
Positions (direct):
Li (0.000, 0.000, 0.000)
Li (0.003, 0.505, 0.506)
Li (0.265, 0.203, 0.253)
Li (0.278, 0.705, 0.760)
Li (0.326, 0.332, 0.999)
Li (0.342, 0.838, 0.507)
Li (0.602, 0.540, 0.255)
Li (0.658, 0.670, 0.002)
Li (0.671, 0.170, 0.509)
Li (0.930, 0.869, 0.268)
Li (0.946, 0.374, 0.756)
Fe (0.243, 0.882, 0.286)
Fe (0.269, 0.053, 0.787)
Fe (0.311, 0.516, 0.544)
Fe (0.312, 0.670, 0.031)
Fe (0.583, 0.211, 0.288)
Fe (0.595, 0.358, 0.782)
Fe (0.644, 0.012, 0.027)
Fe (0.651, 0.846, 0.547)
Fe (0.902, 0.730, 0.784)
Fe (0.918, 0.551, 0.288)
Fe (0.975, 0.347, 0.034)
Fe (0.986, 0.176, 0.540)
B (0.237, 0.393, 0.795)
B (0.254, 0.539, 0.290)
B (0.309, 0.015, 0.041)
B (0.311, 0.182, 0.538)
B (0.584, 0.702, 0.792)
B (0.584, 0.881, 0.293)
B (0.636, 0.350, 0.048)
B (0.644, 0.513, 0.540)
B (0.911, 0.219, 0.292)
B (0.929, 0.048, 0.793)
B (0.970, 0.685, 0.045)
B (0.981, 0.846, 0.531)
O (0.036, 0.685, 0.566)
O (0.042, 0.786, 0.055)
O (0.046, 0.520, 0.074)
O (0.066, 0.145, 0.320)
O (0.096, 0.961, 0.805)
O (0.101, 0.910, 0.503)
O (0.124, 0.322, 0.824)
O (0.128, 0.285, 0.551)
O (0.163, 0.451, 0.305)
O (0.168, 0.080, 0.998)
O (0.183, 0.547, 0.749)
O (0.193, 0.697, 0.254)
O (0.370, 0.025, 0.577)
O (0.375, 0.118, 0.058)
O (0.378, 0.851, 0.070)
O (0.398, 0.309, 0.812)
O (0.415, 0.465, 0.316)
O (0.436, 0.243, 0.490)
O (0.460, 0.616, 0.553)
O (0.471, 0.631, 0.824)
O (0.490, 0.796, 0.304)
O (0.497, 0.405, 0.008)
O (0.519, 0.044, 0.257)
O (0.529, 0.853, 0.747)
O (0.705, 0.188, 0.088)
O (0.706, 0.348, 0.567)
O (0.710, 0.450, 0.054)
O (0.738, 0.813, 0.321)
O (0.751, 0.619, 0.806)
O (0.763, 0.577, 0.502)
O (0.812, 0.983, 0.827)
O (0.814, 0.939, 0.522)
O (0.815, 0.131, 0.304)
O (0.823, 0.748, 0.009)
O (0.851, 0.374, 0.252)
O (0.872, 0.205, 0.751)

A relaxed structure of Li4Ni7P6O24, computed with PBE with a Hubbard U.

For the energy above the most stable polymorph in this dataset, the calculation gives 0.016 eV per atom.

a b c (Å): 8.767 8.767 6.413
angles (deg): 98.79 98.79 105.02
Positions (direct):
Li (0.000, 0.000, 0.000)
Li (0.326, 0.326, 0.031)
Li (0.522, 0.805, 0.006)
Li (0.805, 0.522, 0.006)
Ni (0.247, 0.632, 0.351)
Ni (0.268, 0.268, 0.533)
Ni (0.285, 0.911, 0.720)
Ni (0.632, 0.247, 0.351)
Ni (0.643, 0.891, 0.537)
Ni (0.891, 0.643, 0.537)
Ni (0.911, 0.285, 0.720)
P (0.172, 0.553, 0.823)
P (0.359, 0.985, 0.250)
P (0.553, 0.172, 0.823)
P (0.577, 0.577, 0.581)
P (0.953, 0.953, 0.489)
P (0.985, 0.359, 0.250)
O (0.046, 0.870, 0.645)
O (0.059, 0.059, 0.368)
O (0.161, 0.368, 0.760)
O (0.171, 0.383, 0.318)
O (0.245, 0.662, 0.674)
O (0.253, 0.929, 0.024)
O (0.281, 0.614, 0.047)
O (0.284, 0.879, 0.400)
O (0.368, 0.161, 0.760)
O (0.383, 0.171, 0.318)
O (0.464, 0.464, 0.684)
O (0.488, 0.670, 0.437)
O (0.539, 0.975, 0.264)
O (0.547, 0.987, 0.800)
O (0.614, 0.281, 0.047)
O (0.662, 0.245, 0.674)
O (0.670, 0.488, 0.437)
O (0.712, 0.712, 0.752)
O (0.812, 0.812, 0.342)
O (0.870, 0.046, 0.645)
O (0.879, 0.284, 0.400)
O (0.929, 0.253, 0.024)
O (0.975, 0.539, 0.264)
O (0.987, 0.547, 0.800)

A relaxed structure of Li4Cr5Sn3O16, computed with PBE with a Hubbard U.

a b c (Å): 6.080 6.080 9.603
angles (deg): 90.33 90.33 60.15
Positions (direct):
Li (0.000, 0.000, 0.000)
Li (0.007, 0.007, 0.490)
Li (0.348, 0.348, 0.596)
Li (0.684, 0.684, 0.104)
Cr (0.183, 0.674, 0.281)
Cr (0.352, 0.352, 0.009)
Cr (0.674, 0.183, 0.281)
Cr (0.682, 0.682, 0.503)
Cr (0.844, 0.844, 0.777)
Sn (0.183, 0.183, 0.278)
Sn (0.352, 0.845, 0.779)
Sn (0.845, 0.352, 0.779)
O (0.008, 0.008, 0.184)
O (0.008, 0.008, 0.675)
O (0.056, 0.502, 0.149)
O (0.176, 0.685, 0.893)
O (0.177, 0.177, 0.899)
O (0.341, 0.842, 0.393)
O (0.352, 0.352, 0.390)
O (0.492, 0.492, 0.159)
O (0.502, 0.056, 0.149)
O (0.534, 0.534, 0.642)
O (0.538, 0.974, 0.647)
O (0.685, 0.176, 0.893)
O (0.685, 0.685, 0.894)
O (0.842, 0.341, 0.393)
O (0.847, 0.847, 0.383)
O (0.974, 0.538, 0.647)

A relaxed structure of CoSn2O6F6, computed with PBE with a Hubbard U.

For the energy above the most stable polymorph in this dataset, the calculation gives 0.000 eV per atom.

a b c (Å): 5.332 6.285 7.958
angles (deg): 93.85 91.67 92.08
Positions (direct):
Co (0.000, 0.000, 0.000)
Sn (0.288, 0.589, 0.416)
Sn (0.712, 0.411, 0.584)
O (0.193, 0.079, 0.813)
O (0.215, 0.141, 0.134)
O (0.259, 0.894, 0.858)
O (0.741, 0.106, 0.142)
O (0.785, 0.859, 0.866)
O (0.807, 0.921, 0.187)
F (0.079, 0.503, 0.648)
F (0.231, 0.887, 0.474)
F (0.375, 0.613, 0.183)
F (0.625, 0.387, 0.817)
F (0.769, 0.113, 0.526)
F (0.921, 0.497, 0.352)

A relaxed structure of MnP2O7, computed with PBE with a Hubbard U.

For the energy above the most stable polymorph in this dataset, the calculation gives 0.009 eV per atom.

a b c (Å): 8.491 5.016 13.248
angles (deg): 90.00 115.75 90.00
Positions (direct):
Mn (0.232, 0.248, 0.471)
Mn (0.232, 0.252, 0.971)
Mn (0.768, 0.748, 0.029)
Mn (0.768, 0.752, 0.529)
P (0.186, 0.740, 0.615)
P (0.186, 0.760, 0.115)
P (0.335, 0.743, 0.865)
P (0.335, 0.757, 0.365)
P (0.665, 0.243, 0.635)
P (0.665, 0.257, 0.135)
P (0.814, 0.240, 0.885)
P (0.814, 0.260, 0.385)
O (0.012, 0.681, 0.115)
O (0.012, 0.819, 0.615)
O (0.190, 0.053, 0.082)
O (0.190, 0.447, 0.582)
O (0.211, 0.556, 0.380)
O (0.211, 0.944, 0.880)
O (0.254, 0.578, 0.051)
O (0.254, 0.922, 0.551)
O (0.273, 0.047, 0.361)
O (0.273, 0.453, 0.861)
O (0.329, 0.720, 0.243)
O (0.329, 0.780, 0.743)
O (0.477, 0.200, 0.054)
O (0.477, 0.300, 0.554)
O (0.523, 0.700, 0.446)
O (0.523, 0.800, 0.946)
O (0.671, 0.220, 0.257)
O (0.671, 0.280, 0.757)
O (0.727, 0.547, 0.139)
O (0.727, 0.953, 0.639)
O (0.746, 0.078, 0.449)
O (0.746, 0.422, 0.949)
O (0.789, 0.056, 0.120)
O (0.789, 0.444, 0.620)
O (0.810, 0.553, 0.418)
O (0.810, 0.947, 0.918)
O (0.988, 0.181, 0.385)
O (0.988, 0.319, 0.885)

A relaxed structure of MgMn4H4O8, computed with PBE with a Hubbard U.

a b c (Å): 5.116 5.747 6.044
angles (deg): 112.72 92.83 91.71
Positions (direct):
Mg (0.000, 0.000, 0.000)
Mn (0.034, 0.711, 0.258)
Mn (0.488, 0.252, 0.234)
Mn (0.512, 0.748, 0.766)
Mn (0.966, 0.289, 0.742)
H (0.037, 0.714, 0.663)
H (0.461, 0.291, 0.722)
H (0.539, 0.709, 0.278)
H (0.963, 0.286, 0.337)
O (0.161, 0.840, 0.642)
O (0.165, 0.349, 0.115)
O (0.330, 0.910, 0.143)
O (0.356, 0.389, 0.648)
O (0.644, 0.611, 0.352)
O (0.670, 0.090, 0.857)
O (0.835, 0.651, 0.885)
O (0.839, 0.160, 0.358)

A relaxed structure of VCdO3, computed with PBE with a Hubbard U.

a b c (Å): 14.580 3.645 5.329
angles (deg): 90.00 90.00 90.00
Positions (direct):
V (0.081, 0.250, 0.082)
V (0.419, 0.750, 0.582)
V (0.581, 0.250, 0.418)
V (0.919, 0.750, 0.918)
Cd (0.180, 0.750, 0.630)
Cd (0.320, 0.250, 0.130)
Cd (0.680, 0.750, 0.870)
Cd (0.820, 0.250, 0.370)
O (0.056, 0.750, 0.961)
O (0.111, 0.250, 0.393)
O (0.193, 0.250, 0.890)
O (0.307, 0.750, 0.390)
O (0.389, 0.750, 0.893)
O (0.444, 0.250, 0.461)
O (0.556, 0.750, 0.539)
O (0.611, 0.250, 0.107)
O (0.693, 0.250, 0.610)
O (0.807, 0.750, 0.110)
O (0.889, 0.750, 0.607)
O (0.944, 0.250, 0.039)

A relaxed structure of NaMoP2O8, computed with PBE with a Hubbard U.

As for the maximum piezoelectric response: 0.1 C/m2.

a b c (Å): 5.312 10.831 11.778
angles (deg): 90.00 90.00 90.00
Positions (direct):
Na (0.210, 0.198, 0.379)
Na (0.290, 0.802, 0.879)
Na (0.710, 0.302, 0.621)
Na (0.790, 0.698, 0.121)
Mo (0.240, 0.411, 0.139)
Mo (0.260, 0.589, 0.639)
Mo (0.740, 0.089, 0.861)
Mo (0.760, 0.911, 0.361)
P (0.241, 0.135, 0.680)
P (0.242, 0.091, 0.045)
P (0.258, 0.909, 0.545)
P (0.259, 0.865, 0.180)
P (0.741, 0.365, 0.320)
P (0.742, 0.409, 0.955)
P (0.758, 0.591, 0.455)
P (0.759, 0.635, 0.820)
O (0.003, 0.553, 0.514)
O (0.013, 0.662, 0.760)
O (0.030, 0.955, 0.478)
O (0.035, 0.837, 0.260)
O (0.230, 0.800, 0.070)
O (0.247, 0.774, 0.577)
O (0.248, 0.984, 0.664)
O (0.249, 0.554, 0.200)
O (0.251, 0.446, 0.700)
O (0.252, 0.016, 0.164)
O (0.253, 0.226, 0.077)
O (0.270, 0.200, 0.570)
O (0.465, 0.163, 0.760)
O (0.470, 0.045, 0.978)
O (0.487, 0.338, 0.260)
O (0.497, 0.447, 0.014)
O (0.503, 0.947, 0.486)
O (0.513, 0.838, 0.240)
O (0.530, 0.545, 0.522)
O (0.535, 0.663, 0.740)
O (0.730, 0.700, 0.930)
O (0.747, 0.726, 0.423)
O (0.748, 0.516, 0.336)
O (0.749, 0.946, 0.800)
O (0.751, 0.054, 0.300)
O (0.752, 0.484, 0.836)
O (0.753, 0.274, 0.923)
O (0.770, 0.300, 0.430)
O (0.965, 0.337, 0.240)
O (0.970, 0.455, 0.022)
O (0.987, 0.162, 0.740)
O (0.997, 0.053, 0.986)

A relaxed structure of Ca19Co2P14O56, computed with PBE with a Hubbard U.

a b c (Å): 13.869 13.869 13.869
angles (deg): 44.27 44.27 44.27
Positions (direct):
Ca (0.044, 0.044, 0.044)
Ca (0.073, 0.657, 0.669)
Ca (0.156, 0.571, 0.171)
Ca (0.171, 0.156, 0.571)
Ca (0.187, 0.751, 0.778)
Ca (0.270, 0.666, 0.289)
Ca (0.289, 0.270, 0.666)
Ca (0.300, 0.328, 0.880)
Ca (0.328, 0.880, 0.300)
Ca (0.389, 0.822, 0.789)
Ca (0.571, 0.171, 0.156)
Ca (0.657, 0.669, 0.073)
Ca (0.666, 0.289, 0.270)
Ca (0.669, 0.073, 0.657)
Ca (0.751, 0.778, 0.187)
Ca (0.778, 0.187, 0.751)
Ca (0.789, 0.389, 0.822)
Ca (0.822, 0.789, 0.389)
Ca (0.880, 0.300, 0.328)
Co (0.232, 0.232, 0.232)
Co (0.731, 0.731, 0.731)
P (0.009, 0.546, 0.049)
P (0.046, 0.508, 0.550)
P (0.049, 0.009, 0.546)
P (0.407, 0.962, 0.924)
P (0.421, 0.459, 0.913)
P (0.459, 0.913, 0.421)
P (0.467, 0.467, 0.467)
P (0.508, 0.550, 0.046)
P (0.546, 0.049, 0.009)
P (0.550, 0.046, 0.508)
P (0.913, 0.421, 0.459)
P (0.924, 0.407, 0.962)
P (0.962, 0.924, 0.407)
P (0.967, 0.967, 0.967)
O (0.042, 0.622, 0.060)
O (0.060, 0.042, 0.622)
O (0.064, 0.602, 0.879)
O (0.087, 0.335, 0.645)
O (0.090, 0.353, 0.362)
O (0.097, 0.369, 0.117)
O (0.098, 0.350, 0.887)
O (0.104, 0.563, 0.380)
O (0.117, 0.097, 0.369)
O (0.119, 0.544, 0.561)
O (0.122, 0.983, 0.845)
O (0.124, 0.840, 0.395)
O (0.143, 0.837, 0.585)
O (0.308, 0.982, 0.888)
O (0.335, 0.645, 0.087)
O (0.338, 0.477, 0.622)
O (0.342, 0.623, 0.897)
O (0.350, 0.887, 0.098)
O (0.353, 0.362, 0.090)
O (0.362, 0.090, 0.353)
O (0.369, 0.117, 0.097)
O (0.374, 0.474, 0.829)
O (0.380, 0.104, 0.563)
O (0.383, 0.859, 0.595)
O (0.395, 0.124, 0.840)
O (0.425, 0.425, 0.425)
O (0.474, 0.829, 0.374)
O (0.477, 0.622, 0.338)
O (0.544, 0.561, 0.119)
O (0.561, 0.119, 0.544)
O (0.563, 0.380, 0.104)
O (0.582, 0.862, 0.855)
O (0.585, 0.143, 0.837)
O (0.595, 0.383, 0.859)
O (0.596, 0.617, 0.868)
O (0.602, 0.879, 0.064)
O (0.617, 0.868, 0.596)
O (0.622, 0.060, 0.042)
O (0.622, 0.338, 0.477)
O (0.623, 0.897, 0.342)
O (0.645, 0.087, 0.335)
O (0.829, 0.374, 0.474)
O (0.837, 0.585, 0.143)
O (0.840, 0.395, 0.124)
O (0.845, 0.122, 0.983)
O (0.855, 0.582, 0.862)
O (0.859, 0.595, 0.383)
O (0.862, 0.855, 0.582)
O (0.868, 0.596, 0.617)
O (0.879, 0.064, 0.602)
O (0.887, 0.098, 0.350)
O (0.888, 0.308, 0.982)
O (0.897, 0.342, 0.623)
O (0.927, 0.927, 0.927)
O (0.982, 0.888, 0.308)
O (0.983, 0.845, 0.122)

E_tot / eV/atom: -6.954 -6.247 -6.733 -4.609 -7.189 -6.446 -6.297 -6.963 -7.198
DFT formation energy / meV per atom: -2318 -2222 -2229 -1214 -2375 -1785 -2079 -2473 -3204